(1)
{"formula": "NaMgAlH18C6O21", "functional": "PBE", "state": "relaxed", "lattice_angstrom": [[16.873, 0.000, 0.000], [-8.436, 14.612, 0.000], [0.000, 0.000, 12.542]], "species": ["Na", "Na", "Na", "Na", "Na", "Na", "Mg", "Mg", "Mg", "Mg", "Mg", "Mg", "Al", "Al", "Al", "Al", "Al", "Al", "H", "H", "H", "H", "H", "H", "H", "H", "H", "H", "H", "H", "H", "H", "H", "H", "H", "H", "H", "H", "H", "H", "H", "H", "H", "H", "H", "H", "H", "H", "H", "H", "H", "H", "H", "H", "H", "H", "H", "H", "H", "H", "H", "H", "H", "H", "H", "H", "H", "H", "H", "H", "H", "H", "H", "H", "H", "H", "H", "H", "H", "H", "H", "H", "H", "H", "H", "H", "H", "H", "H", "H", "H", "H", "H", "H", "H", "H", "H", "H", "H", "H", "H", "H", "H", "H", "H", "H", "H", "H", "H", "H", "H", "H", "H", "H", "H", "H", "H", "H", "H", "H", "H", "H", "H", "H", "H", "H", "C", "C", "C", "C", "C", "C", "C", "C", "C", "C", "C", "C", "C", "C", "C", "C", "C", "C", "C", "C", "C", "C", "C", "C", "C", "C", "C", "C", "C", "C", "C", "C", "C", "C", "C", "C", "O", "O", "O", "O", "O", "O", "O", "O", "O", "O", "O", "O", "O", "O", "O", "O", "O", "O", "O", "O", "O", "O", "O", "O", "O", "O", "O", "O", "O", "O", "O", "O", "O", "O", "O", "O", "O", "O", "O", "O", "O", "O", "O", "O", "O", "O", "O", "O", "O", "O", "O", "O", "O", "O", "O", "O", "O", "O", "O", "O", "O", "O", "O", "O", "O", "O", "O", "O", "O", "O", "O", "O", "O", "O", "O", "O", "O", "O", "O", "O", "O", "O", "O", "O", "O", "O", "O", "O", "O", "O", "O", "O", "O", "O", "O", "O", "O", "O", "O", "O", "O", "O", "O", "O", "O", "O", "O", "O", "O", "O", "O", "O", "O", "O", "O", "O", "O", "O", "O", "O", "O", "O", "O", "O", "O", "O"], "frac_coords": [[0.008, 0.337, 0.000], [0.008, 0.671, 0.500], [0.329, 0.337, 0.500], [0.329, 0.992, 0.000], [0.663, 0.671, 0.000], [0.663, 0.992, 0.500], [0.000, 0.000, 0.493], [0.000, 0.000, 0.993], [0.333, 0.667, 0.010], [0.333, 0.667, 0.510], [0.667, 0.333, 0.004], [0.667, 0.333, 0.504], [0.337, 0.007, 0.500], [0.337, 0.330, 0.000], [0.670, 0.007, 0.000], [0.670, 0.663, 0.500], [0.993, 0.330, 0.500], [0.993, 0.663, 0.000], [0.043, 0.214, 0.798], [0.043, 0.829, 0.298], [0.059, 0.133, 0.651], [0.059, 0.926, 0.151], [0.074, 0.133, 0.151], [0.074, 0.941, 0.651], [0.122, 0.476, 0.304], [0.122, 0.646, 0.804], [0.134, 0.056, 0.837], [0.134, 0.078, 0.337], [0.149, 0.005, 0.094], [0.149, 0.143, 0.594], [0.154, 0.006, 0.397], [0.154, 0.148, 0.897], [0.165, 0.454, 0.204], [0.165, 0.712, 0.704], [0.171, 0.214, 0.298], [0.171, 0.957, 0.798], [0.179, 0.518, 0.606], [0.179, 0.661, 0.106], [0.185, 0.526, 0.908], [0.185, 0.659, 0.408], [0.199, 0.589, 0.166], [0.199, 0.610, 0.666], [0.212, 0.023, 0.698], [0.212, 0.189, 0.198], [0.260, 0.534, 0.352], [0.260, 0.726, 0.852], [0.274, 0.534, 0.852], [0.274, 0.740, 0.352], [0.288, 0.454, 0.704], [0.288, 0.835, 0.204], [0.339, 0.518, 0.106], [0.339, 0.821, 0.606], [0.341, 0.526, 0.408], [0.341, 0.815, 0.908], [0.354, 0.476, 0.804], [0.354, 0.878, 0.304], [0.390, 0.589, 0.666], [0.390, 0.801, 0.166], [0.411, 0.610, 0.166], [0.411, 0.801, 0.666], [0.458, 0.149, 0.303], [0.458, 0.309, 0.803], [0.466, 0.726, 0.352], [0.466, 0.740, 0.852], [0.474, 0.659, 0.908], [0.474, 0.815, 0.408], [0.482, 0.661, 0.606], [0.482, 0.821, 0.106], [0.494, 0.120, 0.201], [0.494, 0.374, 0.701], [0.515, 0.185, 0.602], [0.515, 0.330, 0.102], [0.517, 0.189, 0.905], [0.517, 0.328, 0.405], [0.524, 0.646, 0.304], [0.524, 0.878, 0.804], [0.533, 0.257, 0.161], [0.533, 0.277, 0.661], [0.546, 0.712, 0.204], [0.546, 0.835, 0.704], [0.594, 0.200, 0.346], [0.594, 0.394, 0.846], [0.606, 0.200, 0.846], [0.606, 0.406, 0.346], [0.626, 0.120, 0.701], [0.626, 0.506, 0.201], [0.670, 0.185, 0.102], [0.670, 0.485, 0.602], [0.672, 0.189, 0.405], [0.672, 0.483, 0.905], [0.691, 0.149, 0.803], [0.691, 0.542, 0.303], [0.723, 0.257, 0.661], [0.723, 0.467, 0.161], [0.743, 0.277, 0.161], [0.743, 0.467, 0.661], [0.786, 0.829, 0.798], [0.786, 0.957, 0.298], [0.800, 0.394, 0.346], [0.800, 0.406, 0.846], [0.811, 0.023, 0.198], [0.811, 0.328, 0.905], [0.811, 0.483, 0.405], [0.811, 0.788, 0.698], [0.815, 0.330, 0.602], [0.815, 0.485, 0.102], [0.851, 0.309, 0.303], [0.851, 0.542, 0.803], [0.852, 0.006, 0.897], [0.852, 0.846, 0.397], [0.857, 0.005, 0.594], [0.857, 0.851, 0.094], [0.867, 0.926, 0.651], [0.867, 0.941, 0.151], [0.880, 0.374, 0.201], [0.880, 0.506, 0.701], [0.922, 0.056, 0.337], [0.922, 0.866, 0.837], [0.944, 0.078, 0.837], [0.944, 0.866, 0.337], [0.977, 0.189, 0.698], [0.977, 0.788, 0.198], [0.994, 0.148, 0.397], [0.994, 0.846, 0.897], [0.995, 0.143, 0.094], [0.995, 0.851, 0.594], [0.030, 0.503, 0.449], [0.030, 0.527, 0.949], [0.136, 0.304, 0.448], [0.136, 0.831, 0.948], [0.163, 0.361, 0.553], [0.163, 0.802, 0.053], [0.169, 0.304, 0.948], [0.169, 0.864, 0.448], [0.198, 0.361, 0.053], [0.198, 0.837, 0.553], [0.304, 0.146, 0.552], [0.304, 0.158, 0.052], [0.365, 0.178, 0.451], [0.365, 0.187, 0.951], [0.473, 0.503, 0.949], [0.473, 0.970, 0.449], [0.497, 0.527, 0.449], [0.497, 0.970, 0.949], [0.504, 0.028, 0.552], [0.504, 0.476, 0.052], [0.524, 0.028, 0.052], [0.524, 0.496, 0.552], [0.639, 0.802, 0.553], [0.639, 0.837, 0.053], [0.696, 0.831, 0.448], [0.696, 0.864, 0.948], [0.813, 0.178, 0.951], [0.813, 0.635, 0.451], [0.822, 0.187, 0.451], [0.822, 0.635, 0.951], [0.842, 0.146, 0.052], [0.842, 0.696, 0.552], [0.854, 0.158, 0.552], [0.854, 0.696, 0.052], [0.972, 0.476, 0.552], [0.972, 0.496, 0.052], [0.006, 0.164, 0.746], [0.006, 0.841, 0.246], [0.035, 0.117, 0.086], [0.035, 0.918, 0.586], [0.041, 0.437, 0.411], [0.041, 0.603, 0.911], [0.053, 0.280, 0.417], [0.053, 0.773, 0.917], [0.061, 0.481, 0.910], [0.061, 0.581, 0.410], [0.082, 0.117, 0.586], [0.082, 0.965, 0.086], [0.096, 0.286, 0.904], [0.096, 0.810, 0.404], [0.103, 0.383, 0.584], [0.103, 0.720, 0.084], [0.116, 0.035, 0.398], [0.116, 0.081, 0.898], [0.145, 0.382, 0.097], [0.145, 0.764, 0.597], [0.159, 0.164, 0.246], [0.159, 0.994, 0.746], [0.176, 0.502, 0.256], [0.176, 0.674, 0.756], [0.190, 0.286, 0.404], [0.190, 0.904, 0.904], [0.217, 0.584, 0.605], [0.217, 0.633, 0.105], [0.227, 0.280, 0.917], [0.227, 0.947, 0.417], [0.236, 0.382, 0.597], [0.236, 0.855, 0.097], [0.251, 0.550, 0.917], [0.251, 0.701, 0.417], [0.274, 0.081, 0.091], [0.274, 0.193, 0.591], [0.280, 0.383, 0.084], [0.280, 0.897, 0.584], [0.290, 0.068, 0.587], [0.290, 0.222, 0.087], [0.299, 0.550, 0.417], [0.299, 0.749, 0.917], [0.326, 0.502, 0.756], [0.326, 0.824, 0.256], [0.367, 0.584, 0.105], [0.367, 0.783, 0.605], [0.384, 0.116, 0.415], [0.384, 0.267, 0.915], [0.392, 0.137, 0.912], [0.392, 0.255, 0.412], [0.397, 0.437, 0.911], [0.397, 0.959, 0.411], [0.416, 0.633, 0.605], [0.416, 0.783, 0.105], [0.419, 0.481, 0.410], [0.419, 0.939, 0.910], [0.448, 0.056, 0.582], [0.448, 0.393, 0.082], [0.450, 0.701, 0.917], [0.450, 0.749, 0.417], [0.468, 0.044, 0.098], [0.468, 0.424, 0.598], [0.498, 0.674, 0.256], [0.498, 0.824, 0.756], [0.509, 0.171, 0.252], [0.509, 0.339, 0.752], [0.519, 0.581, 0.910], [0.519, 0.939, 0.410], [0.551, 0.252, 0.599], [0.551, 0.299, 0.099], [0.563, 0.603, 0.411], [0.563, 0.959, 0.911], [0.576, 0.044, 0.598], [0.576, 0.532, 0.098], [0.584, 0.217, 0.911], [0.584, 0.367, 0.411], [0.607, 0.056, 0.082], [0.607, 0.552, 0.582], [0.617, 0.720, 0.584], [0.617, 0.897, 0.084], [0.618, 0.764, 0.097], [0.618, 0.855, 0.597], [0.633, 0.217, 0.411], [0.633, 0.416, 0.911], [0.661, 0.171, 0.752], [0.661, 0.491, 0.252], [0.701, 0.252, 0.099], [0.701, 0.449, 0.599], [0.714, 0.810, 0.904], [0.714, 0.904, 0.404], [0.720, 0.773, 0.417], [0.720, 0.947, 0.917], [0.733, 0.116, 0.915], [0.733, 0.616, 0.415], [0.745, 0.137, 0.412], [0.745, 0.608, 0.912], [0.748, 0.299, 0.599], [0.748, 0.449, 0.099], [0.778, 0.068, 0.087], [0.778, 0.710, 0.587], [0.783, 0.367, 0.911], [0.783, 0.416, 0.411], [0.807, 0.081, 0.591], [0.807, 0.726, 0.091], [0.829, 0.339, 0.252], [0.829, 0.491, 0.752], [0.836, 0.841, 0.746], [0.836, 0.994, 0.246], [0.863, 0.255, 0.912], [0.863, 0.608, 0.412], [0.883, 0.918, 0.086], [0.883, 0.965, 0.586], [0.884, 0.267, 0.415], [0.884, 0.616, 0.915], [0.919, 0.035, 0.898], [0.919, 0.193, 0.091], [0.919, 0.726, 0.591], [0.919, 0.884, 0.398], [0.932, 0.222, 0.587], [0.932, 0.710, 0.087], [0.944, 0.393, 0.582], [0.944, 0.552, 0.082], [0.956, 0.424, 0.098], [0.956, 0.532, 0.598], [0.965, 0.081, 0.398], [0.965, 0.884, 0.898]], "energy_ev_per_atom": -6.025}

***

(2)
{"formula": "Mg4Al2H12CO18", "functional": "PBE", "state": "relaxed", "lattice_angstrom": [[5.325, 0.000, 0.000], [-2.663, 4.612, 0.000], [0.000, 0.000, 15.053]], "species": ["Mg", "Mg", "Mg", "Mg", "Al", "Al", "H", "H", "H", "H", "H", "H", "H", "H", "H", "H", "H", "H", "C", "O", "O", "O", "O", "O", "O", "O", "O", "O", "O", "O", "O", "O", "O", "O", "O", "O", "O"], "frac_coords": [[0.333, 0.667, 0.244], [0.333, 0.667, 0.756], [0.667, 0.333, 0.244], [0.667, 0.333, 0.756], [0.000, 0.000, 0.244], [0.000, 0.000, 0.756], [0.000, 0.308, 0.376], [0.000, 0.308, 0.624], [0.000, 0.684, 0.113], [0.000, 0.684, 0.887], [0.308, 0.000, 0.376], [0.308, 0.000, 0.624], [0.316, 0.316, 0.113], [0.316, 0.316, 0.887], [0.684, 0.000, 0.113], [0.684, 0.000, 0.887], [0.692, 0.692, 0.376], [0.692, 0.692, 0.624], [0.000, 0.000, 0.500], [0.000, 0.241, 0.500], [0.000, 0.310, 0.311], [0.000, 0.310, 0.689], [0.000, 0.586, 0.000], [0.000, 0.689, 0.179], [0.000, 0.689, 0.821], [0.241, 0.000, 0.500], [0.310, 0.000, 0.311], [0.310, 0.000, 0.689], [0.311, 0.311, 0.179], [0.311, 0.311, 0.821], [0.414, 0.414, 0.000], [0.586, 0.000, 0.000], [0.689, 0.000, 0.179], [0.689, 0.000, 0.821], [0.690, 0.690, 0.311], [0.690, 0.690, 0.689], [0.759, 0.759, 0.500]], "energy_ev_per_atom": -5.593}

***

no.,formation energy (eV per atom)
1,-1.596
2,-1.795